1.
This record from the Materials Project describes crystalline CaB2Rh3 at its relaxed geometry. The functional is PBE.

a b c (Å): 5.6188 5.6188 2.9310
angles (deg): 90.00 90.00 120.00
With the nearest neighbours (Å) after each atom.
Atoms (fractional coordinates):
1 Ca 0.0000 0.0000 0.0000  2 Ca 2.93, 12 Rh 3.17, 6 B 3.24
2 B 0.3333 0.6667 0.0000  6 Rh 2.19
3 B 0.6667 0.3333 0.0000  6 Rh 2.19
4 Rh 0.0000 0.5000 0.5000  4 B 2.19
5 Rh 0.5000 0.0000 0.5000  4 B 2.19
6 Rh 0.5000 0.5000 0.5000  4 B 2.19

Values from the calculation:
Formation energy in eV/atom: -0.61
VASP energy in eV/atom: -6.86

2.
This record from the Materials Project describes crystalline Ca3B6Rh8 at its relaxed geometry. The functional is PBE.

a b c (Å): 9.8728 9.0054 5.6381
angles (deg): 81.27 64.37 34.36
With the nearest neighbours (Å) after each atom.
Atoms (fractional coordinates):
1 Ca 0.0000 0.0000 0.0000  2 Ca 3.12, 12 Rh 3.15-3.17, 6 B 3.22-3.27
2 Ca 0.1821 0.1821 0.8179  6 B 2.97-3.20, 10 Rh 3.05-3.28, 1 Ca 3.12
3 Ca 0.8179 0.8179 0.1821  6 B 2.97-3.20, 10 Rh 3.05-3.28, 1 Ca 3.12
4 B 0.1687 0.4890 0.5110  5 Rh 2.13-2.21
5 B 0.3336 0.6664 0.3336  6 Rh 2.17-2.21
6 B 0.4890 0.1687 0.8313  5 Rh 2.13-2.21
7 B 0.5110 0.8313 0.1687  5 Rh 2.13-2.21
8 B 0.6664 0.3336 0.6664  6 Rh 2.17-2.21
9 B 0.8313 0.5110 0.4890  5 Rh 2.13-2.21
10 Rh 0.0848 0.0848 0.4152  4 B 2.17-2.21
11 Rh 0.2500 0.2500 0.2500  4 B 2.13
12 Rh 0.4135 0.4135 0.5865  4 B 2.14-2.21
13 Rh 0.4152 0.4152 0.0848  4 B 2.17-2.21
14 Rh 0.5848 0.5848 0.9152  4 B 2.17-2.21
15 Rh 0.5865 0.5865 0.4135  4 B 2.14-2.21
16 Rh 0.7500 0.7500 0.7500  4 B 2.13
17 Rh 0.9152 0.9152 0.5848  4 B 2.17-2.21

Values from the calculation:
Formation energy in eV/atom: -0.62
VASP energy in eV/atom: -6.80

3.
This record from the Materials Project describes crystalline Ca2B4Rh5 at its relaxed geometry. The functional is PBE.

a b c (Å): 7.4896 6.2824 5.6461
angles (deg): 77.58 55.01 47.41
With the nearest neighbours (Å) after each atom.
Atoms (fractional coordinates):
1 Ca 0.1430 0.1430 0.8570  8 B 3.01-3.34, 10 Rh 3.07-3.25, 1 Ca 3.23
2 Ca 0.8570 0.8570 0.1430  8 B 3.01-3.34, 10 Rh 3.07-3.25, 1 Ca 3.23
3 B 0.2083 0.5311 0.4689  5 Rh 2.12-2.20
4 B 0.4689 0.7917 0.2083  5 Rh 2.12-2.20
5 B 0.5311 0.2083 0.7917  5 Rh 2.12-2.20
6 B 0.7917 0.4689 0.5311  5 Rh 2.12-2.20
7 Rh 0.0000 0.0000 0.5000  4 B 2.20
8 Rh 0.2500 0.2500 0.2500  4 B 2.12
9 Rh 0.5000 0.5000 0.0000  4 B 2.20
10 Rh 0.5000 0.5000 0.5000  4 B 2.17
11 Rh 0.7500 0.7500 0.7500  4 B 2.12

Values from the calculation:
Formation energy in eV/atom: -0.61
VASP energy in eV/atom: -6.76